Record 1
Material: GeP3
Method: DFT, PBE-GGA
State: relaxed

Cell lengths 7.1133, 7.1133, 10.0736 Å; angles 90.00, 90.00, 120.00 degrees
Space group R-3m (No. 166, hexagonal axes)
Inequivalent atoms, fractional coordinates:
Ge  0.0000  0.0000  0.2364 (multiplicity 6)
P  0.0172  0.5086  0.2204 (multiplicity 18)

Results
ΔH_f (0 K)	0.029	eV/atom
calculated density	3.74	g/cm³
crystal system	trigonal
uncorrected energy	-5.187	eV per atom

Record 2
Material: Rb5GeP3
Method: DFT, PBE-GGA
State: relaxed

Cell lengths 15.713, 5.493, 14.981 Å; angles 90.00, 90.00, 90.00 degrees
Space group Pnma (No. 62)
Inequivalent atoms, fractional coordinates:
Rb  0.015  0.250  0.119 (multiplicity 4)
Rb  0.067  0.250  0.428 (multiplicity 4)
Rb  0.084  0.250  0.684 (multiplicity 4)
Rb  0.196  0.750  0.060 (multiplicity 4)
Rb  0.235  0.750  0.770 (multiplicity 4)
Ge  0.220  0.750  0.419 (multiplicity 4)
P  0.133  0.250  0.911 (multiplicity 4)
P  0.137  0.750  0.292 (multiplicity 4)
P  0.155  0.750  0.556 (multiplicity 4)

Results
ΔH_f (0 K)	-0.308	eV/atom
calculated density	3.05	g/cm³
crystal system	orthorhombic
uncorrected energy	-3.171	eV per atom

Record 3
Material: Rb4GeP4S12
Method: DFT, PBE-GGA
State: relaxed

Cell lengths 12.616, 8.260, 24.044 Å; angles 90.00, 100.80, 90.00 degrees
Space group C2/c (No. 15)
Inequivalent atoms, fractional coordinates:
Rb  0.094  0.073  0.186 (multiplicity 8)
Rb  0.188  0.480  0.548 (multiplicity 8)
Ge  0.000  0.474  0.750 (multiplicity 4)
P  0.091  0.300  0.872 (multiplicity 8)
P  0.146  0.437  0.384 (multiplicity 8)
S  0.044  0.305  0.419 (multiplicity 8)
S  0.065  0.343  0.682 (multiplicity 8)
S  0.068  0.217  0.945 (multiplicity 8)
S  0.138  0.370  0.294 (multiplicity 8)
S  0.182  0.174  0.827 (multiplicity 8)
S  0.200  0.065  0.579 (multiplicity 8)

Results
ΔH_f (0 K)	-0.959	eV/atom
calculated density	2.49	g/cm³
total magnetization	0.00	μB/f.u.
total energy after the MP2020 corrections	-0.17494	Ha/atom
crystal system	monoclinic
uncorrected energy	-4.473	eV per atom

Record 4
Material: Rb4GeP4Se12
Method: DFT, PBE-GGA
State: relaxed

Cell lengths 14.601, 7.548, 24.781 Å; angles 90.00, 90.00, 90.00 degrees
Space group Pca2_1 (No. 29)
Inequivalent atoms, fractional coordinates:
Rb  0.030  0.210  0.000 (multiplicity 4)
Rb  0.124  0.307  0.400 (multiplicity 4)
Rb  0.166  0.695  0.126 (multiplicity 4)
Rb  0.176  0.688  0.775 (multiplicity 4)
Ge  0.080  0.157  0.694 (multiplicity 4)
P  0.049  0.749  0.306 (multiplicity 4)
P  0.095  0.198  0.841 (multiplicity 4)
P  0.108  0.354  0.562 (multiplicity 4)
P  0.211  0.129  0.578 (multiplicity 4)
Se  0.012  0.738  0.019 (multiplicity 4)
Se  0.055  0.960  0.237 (multiplicity 4)
Se  0.059  0.490  0.268 (multiplicity 4)
Se  0.067  0.441  0.649 (multiplicity 4)
Se  0.095  0.944  0.881 (multiplicity 4)
Se  0.115  0.936  0.627 (multiplicity 4)
Se  0.133  0.428  0.888 (multiplicity 4)
Se  0.148  0.816  0.366 (multiplicity 4)
Se  0.180  0.215  0.130 (multiplicity 4)
Se  0.182  0.572  0.526 (multiplicity 4)
Se  0.191  0.195  0.764 (multiplicity 4)
Se  0.245  0.012  0.501 (multiplicity 4)

Results
ΔH_f (0 K)	-0.809	eV/atom
calculated density	3.61	g/cm³
total magnetization	0.00	μB/f.u.
total energy after the MP2020 corrections	-0.15601	Ha/atom
crystal system	orthorhombic
uncorrected energy	-3.975	eV per atom

Record 5
Material: Sr3Ge2P4
Method: DFT, PBE-GGA
State: relaxed

Cell lengths 7.504, 18.278, 7.318 Å; angles 90.00, 112.05, 90.00 degrees
Space group P2_1/c (No. 14)
Inequivalent atoms, fractional coordinates:
Sr  0.216  0.184  0.011 (multiplicity 4)
Sr  0.256  0.063  0.511 (multiplicity 4)
Sr  0.261  0.559  0.505 (multiplicity 4)
Ge  0.212  0.627  0.027 (multiplicity 4)
Ge  0.314  0.742  0.908 (multiplicity 4)
P  0.010  0.561  0.757 (multiplicity 4)
P  0.047  0.685  0.218 (multiplicity 4)
P  0.491  0.568  0.238 (multiplicity 4)
P  0.497  0.700  0.718 (multiplicity 4)

Results
ΔH_f (0 K)	-0.793	eV/atom
calculated density	3.80	g/cm³
crystal system	monoclinic
uncorrected energy	-4.789	eV per atom

Record 6
Material: Sr4GeP4
Method: DFT, PBE-GGA
State: relaxed

Cell lengths 12.577, 12.577, 12.577 Å; angles 90.00, 90.00, 90.00 degrees
Space group P-43n (No. 218)
Inequivalent atoms, fractional coordinates:
Sr  0.096  0.133  0.645 (multiplicity 24)
Sr  0.145  0.145  0.145 (multiplicity 8)
Ge  0.000  0.000  0.000 (multiplicity 2)
Ge  0.000  0.500  0.250 (multiplicity 6)
P  0.107  0.382  0.647 (multiplicity 24)
P  0.109  0.109  0.891 (multiplicity 8)

Results
ΔH_f (0 K)	-0.957	eV/atom
calculated density	3.65	g/cm³
crystal system	cubic
uncorrected energy	-4.627	eV per atom

Record 7
Material: ZnGeP2
Method: DFT, PBE-GGA
State: relaxed

Cell lengths 3.847, 3.847, 5.516 Å; angles 90.00, 90.00, 90.00 degrees
Space group P-4m2 (No. 115)
Inequivalent atoms, fractional coordinates:
Zn  0.000  0.000  0.000 (multiplicity 1)
Ge  0.500  0.500  0.500 (multiplicity 1)
P  0.000  0.500  0.246 (multiplicity 2)

Results
ΔH_f (0 K)	-0.182	eV/atom
calculated density	4.07	g/cm³
total magnetization	0.00	μB/f.u.
crystal system	tetragonal
uncorrected energy	-4.359	eV per atom
energy above the lowest structure with this stoichiometry	28	meV/atom

Record 8
Material: ZnGeP2
Method: DFT, PBE-GGA
State: relaxed

Cell lengths 5.504, 5.504, 10.843 Å; angles 90.00, 90.00, 90.00 degrees
Space group I-42d (No. 122)
Inequivalent atoms, fractional coordinates:
Zn  0.000  0.000  0.000 (multiplicity 4)
Ge  0.000  0.000  0.500 (multiplicity 4)
P  0.246  0.250  0.625 (multiplicity 8)

Results
piezoelectric modulus e_max	0.0	C/m2
ΔH_f (0 K)	-0.210	eV/atom
calculated density	4.04	g/cm³
crystal system	tetragonal
uncorrected energy	-4.387	eV per atom
energy above the lowest structure with this stoichiometry	0	meV/atom